1.
First-principles (PBE+U) data for a geometry-optimized MgMn6O10F2 structure, as listed in the Materials Project.

Energy of formation from the pure elements ... -201.3 kJ/mol of atoms
Space group ... P1, No. 1
Corrected total energy (MP2020 scheme) ... -7.870 eV/atom
VASP energy ... -6.9327 eV per atom
ΔE to the lowest computed polymorph ... 0.84 eV per formula unit
Total moment ... 22.00 μB/cell

Structure (POSCAR):
```
MgMn6O10F2
1.0
1.978 4.708 0.203
-2.443 2.079 -6.830
-4.818 0.978 2.928
O F Mg Mn
10 2 1 6
direct
0.364 0.562 0.816
0.854 0.763 0.965
0.336 0.249 0.522
0.667 0.084 0.813
0.859 0.097 0.294
0.866 0.428 0.625
0.656 0.427 0.167
0.654 0.746 0.460
0.326 0.911 0.180
0.140 0.895 0.713
0.142 0.559 0.343
0.143 0.238 0.037
0.501 0.499 0.488
0.998 0.671 0.671
0.993 0.989 0.997
0.474 0.312 0.867
0.984 0.316 0.344
0.553 0.693 0.109
0.477 0.991 0.505
```

2.
First-principles (PBE+U) data for a geometry-optimized LiCr2P5O15 structure, as listed in the Materials Project.

Energy of formation from the pure elements ... -246.3 kJ/mol of atoms
Space group ... Pc, No. 7
Corrected total energy (MP2020 scheme) ... -7.879 eV/atom
VASP energy ... -7.2572 eV per atom
Total moment ... 16.00 μB/cell

Structure (POSCAR):
```
LiCr2P5O15
1.0
8.787 0.000 0.000
0.000 5.432 0.000
0.000 1.338 12.867
O P Li Cr
30 10 2 4
direct
0.625 0.554 0.142
0.129 0.086 0.835
0.932 0.080 0.695
0.143 0.408 0.671
0.375 0.054 0.642
0.140 0.110 0.466
0.534 0.755 0.753
0.937 0.433 0.806
0.063 0.933 0.306
0.378 0.448 0.863
0.338 0.916 0.357
0.871 0.586 0.335
0.459 0.224 0.062
0.166 0.870 0.038
0.854 0.897 0.534
0.342 0.593 0.147
0.857 0.908 0.171
0.622 0.948 0.363
0.658 0.093 0.647
0.164 0.630 0.459
0.146 0.397 0.034
0.662 0.416 0.857
0.466 0.255 0.253
0.458 0.277 0.445
0.542 0.777 0.945
0.836 0.130 0.959
0.860 0.610 0.966
0.541 0.724 0.562
0.834 0.370 0.538
0.068 0.580 0.195
0.480 0.102 0.363
0.482 0.403 0.142
0.949 0.753 0.250
0.823 0.111 0.593
0.177 0.611 0.093
0.828 0.393 0.907
0.518 0.903 0.642
0.172 0.893 0.407
0.520 0.602 0.863
0.051 0.253 0.750
0.998 0.890 0.938
0.002 0.390 0.438
0.706 0.854 0.054
0.291 0.156 0.953
0.294 0.354 0.554
0.709 0.656 0.453
```

3.
First-principles (PBE+U) data for a geometry-optimized MgMn5Cr2O12 structure, as listed in the Materials Project.

Energy of formation from the pure elements ... -199.0 kJ/mol of atoms
Space group ... P1, No. 1
Corrected total energy (MP2020 scheme) ... -8.367 eV/atom
VASP energy ... -7.3379 eV per atom
ΔE to the lowest computed polymorph ... 0.44 eV per formula unit
Total moment ... 25.01 μB/cell

Structure (POSCAR):
```
MgMn5Cr2O12
1.0
5.346 0.308 -0.203
2.620 4.550 0.231
-0.856 1.386 9.819
O Mn Mg Cr
12 5 1 2
direct
0.023 0.788 0.142
0.466 0.695 0.350
0.601 0.837 0.865
0.364 0.168 0.138
0.737 0.465 0.140
0.254 0.972 0.629
0.744 0.044 0.378
0.315 0.518 0.853
0.984 0.268 0.871
0.541 0.297 0.637
0.104 0.327 0.375
0.834 0.594 0.624
0.417 0.424 0.241
0.505 0.002 0.514
0.081 0.080 0.240
0.580 0.565 0.756
0.007 0.547 0.977
0.829 0.294 0.514
0.747 0.749 0.248
0.269 0.255 0.751
```

4.
First-principles (PBE+U) data for a geometry-optimized Li4V2C4SO16 structure, as listed in the Materials Project.

Energy of formation from the pure elements ... -202.1 kJ/mol of atoms
Space group ... F222, No. 22
Corrected total energy (MP2020 scheme) ... -7.503 eV/atom
VASP energy ... -6.9699 eV per atom
ΔE to the lowest computed polymorph ... 0.66 eV per formula unit
Total moment ... 8.00 μB/cell

Structure (POSCAR):
```
Li4V2C4SO16
1.0
0.000 6.806 6.839
6.610 0.000 6.839
6.610 6.806 0.000
C Li O V S
8 8 32 4 2
direct
0.403 0.776 0.414
0.414 0.407 0.403
0.834 0.846 0.852
0.846 0.834 0.467
0.776 0.403 0.407
0.407 0.414 0.776
0.852 0.467 0.834
0.467 0.852 0.846
0.213 0.787 0.213
0.787 0.213 0.787
0.213 0.787 0.787
0.059 0.441 0.441
0.441 0.059 0.059
0.214 0.214 0.786
0.786 0.786 0.214
0.787 0.213 0.213
0.269 0.543 0.772
0.470 0.732 0.817
0.443 0.181 0.181
0.181 0.195 0.443
0.772 0.416 0.269
0.061 0.065 0.066
0.537 0.426 0.773
0.996 0.714 0.459
0.459 0.831 0.996
0.195 0.181 0.181
0.426 0.537 0.264
0.066 0.808 0.061
0.817 0.981 0.470
0.416 0.772 0.543
0.422 0.267 0.782
0.264 0.773 0.426
0.732 0.470 0.981
0.529 0.782 0.267
0.181 0.443 0.195
0.267 0.422 0.529
0.466 0.998 0.727
0.809 0.727 0.998
0.831 0.459 0.714
0.727 0.809 0.466
0.773 0.264 0.537
0.543 0.269 0.416
0.065 0.061 0.808
0.981 0.817 0.732
0.998 0.466 0.809
0.714 0.996 0.831
0.782 0.529 0.422
0.808 0.066 0.065
0.126 0.627 0.624
0.623 0.624 0.627
0.627 0.126 0.623
0.624 0.623 0.126
0.000 0.000 0.000
0.250 0.250 0.250
```

5.
First-principles (PBE+U) data for a geometry-optimized Na2NiMo6H26N2O30 structure, as listed in the Materials Project.

Energy of formation from the pure elements ... -140.1 kJ/mol of atoms
Space group ... P2_1/c, No. 14
Corrected total energy (MP2020 scheme) ... -6.330 eV/atom
VASP energy ... -5.6976 eV per atom
Total moment ... 4.00 μB/cell

Structure (POSCAR):
```
Na2NiMo6H26N2O30
1.0
0.000 -11.367 0.000
-10.814 0.000 5.375
0.069 0.000 -12.026
H O Mo Na N Ni
52 60 12 4 4 2
direct
0.515 0.166 0.095
0.151 0.645 0.947
0.212 0.067 0.931
0.933 0.891 0.522
0.849 0.355 0.053
0.456 0.818 0.263
0.520 0.541 0.899
0.026 0.408 0.334
0.956 0.182 0.237
0.544 0.182 0.737
0.352 0.356 0.316
0.555 0.933 0.340
0.349 0.645 0.447
0.485 0.834 0.905
0.526 0.592 0.166
0.712 0.933 0.569
0.443 0.195 0.635
0.599 0.797 0.223
0.945 0.933 0.840
0.148 0.356 0.816
0.980 0.541 0.399
0.651 0.355 0.553
0.015 0.834 0.405
0.044 0.818 0.763
0.788 0.933 0.069
0.930 0.500 0.782
0.943 0.805 0.865
0.067 0.109 0.478
0.776 0.057 0.654
0.724 0.057 0.154
0.288 0.067 0.431
0.224 0.943 0.346
0.557 0.805 0.365
0.020 0.459 0.601
0.480 0.459 0.101
0.445 0.067 0.660
0.852 0.644 0.184
0.570 0.500 0.282
0.567 0.891 0.022
0.057 0.195 0.135
0.474 0.408 0.834
0.985 0.166 0.595
0.055 0.067 0.160
0.974 0.592 0.666
0.430 0.500 0.718
0.901 0.797 0.723
0.070 0.500 0.218
0.276 0.943 0.846
0.099 0.203 0.277
0.648 0.644 0.684
0.433 0.109 0.978
0.401 0.203 0.777
0.183 0.773 0.663
0.612 0.642 0.608
0.890 0.355 0.980
0.212 0.347 0.673
0.276 0.671 0.323
0.102 0.236 0.015
0.093 0.909 0.108
0.329 0.261 0.918
0.767 0.995 0.568
0.671 0.739 0.082
0.683 0.227 0.837
0.110 0.645 0.020
0.712 0.653 0.827
0.112 0.358 0.892
0.895 0.914 0.247
0.317 0.773 0.163
0.804 0.487 0.437
0.724 0.329 0.677
0.043 0.490 0.344
0.605 0.914 0.747
0.086 0.770 0.251
0.512 0.140 0.004
0.396 0.503 0.642
0.733 0.995 0.068
0.104 0.503 0.142
0.304 0.513 0.063
0.288 0.347 0.173
0.593 0.091 0.392
0.488 0.860 0.996
0.896 0.497 0.858
0.604 0.497 0.358
0.390 0.645 0.520
0.196 0.513 0.563
0.171 0.261 0.418
0.898 0.764 0.985
0.388 0.358 0.392
0.414 0.770 0.751
0.829 0.739 0.582
0.907 0.091 0.892
0.407 0.909 0.608
0.457 0.490 0.844
0.586 0.230 0.249
0.776 0.329 0.177
0.012 0.860 0.496
0.610 0.355 0.480
0.696 0.487 0.937
0.788 0.653 0.327
0.988 0.140 0.504
0.888 0.642 0.108
0.267 0.005 0.932
0.914 0.230 0.749
0.395 0.086 0.253
0.224 0.671 0.823
0.957 0.510 0.656
0.105 0.086 0.753
0.817 0.227 0.337
0.398 0.236 0.515
0.602 0.764 0.485
0.543 0.510 0.156
0.233 0.005 0.432
0.273 0.663 0.682
0.506 0.811 0.637
0.994 0.811 0.137
0.727 0.337 0.318
0.006 0.189 0.863
0.765 0.646 0.960
0.735 0.646 0.460
0.265 0.354 0.540
0.773 0.337 0.818
0.494 0.189 0.363
0.235 0.354 0.040
0.227 0.663 0.182
0.805 0.084 0.427
0.195 0.916 0.573
0.305 0.916 0.073
0.695 0.084 0.927
0.541 0.837 0.299
0.041 0.163 0.201
0.459 0.163 0.701
0.959 0.837 0.799
0.500 0.500 0.500
0.000 0.500 0.000
```

6.
First-principles (PBE+U) data for a geometry-optimized Na2FeH7S2O12 structure, as listed in the Materials Project.

Energy of formation from the pure elements ... -164.0 kJ/mol of atoms
Space group ... P2_1/c, No. 14
Corrected total energy (MP2020 scheme) ... -5.971 eV/atom
VASP energy ... -5.5332 eV per atom
Total moment ... 20.02 μB/cell

Structure (POSCAR):
```
Na2FeH7S2O12
1.0
7.190 0.000 0.000
0.000 7.417 0.000
-3.742 0.000 20.963
O S Fe H Na
48 8 4 28 8
direct
0.671 0.735 0.834
0.568 0.742 0.481
0.779 0.570 0.563
0.151 0.078 0.309
0.371 0.028 0.407
0.848 0.148 0.802
0.559 0.843 0.201
0.441 0.343 0.299
0.221 0.070 0.937
0.177 0.778 0.357
0.371 0.472 0.907
0.909 0.758 0.982
0.329 0.235 0.666
0.738 0.407 0.976
0.262 0.907 0.524
0.848 0.352 0.302
0.277 0.979 0.050
0.027 0.023 0.406
0.262 0.593 0.024
0.432 0.242 0.019
0.559 0.657 0.701
0.909 0.742 0.482
0.027 0.477 0.906
0.221 0.430 0.437
0.432 0.258 0.519
0.738 0.093 0.476
0.441 0.157 0.799
0.671 0.765 0.334
0.823 0.278 0.143
0.629 0.972 0.593
0.973 0.523 0.094
0.849 0.922 0.691
0.973 0.977 0.594
0.779 0.930 0.063
0.151 0.422 0.809
0.091 0.242 0.018
0.091 0.258 0.518
0.629 0.528 0.093
0.568 0.758 0.981
0.277 0.521 0.550
0.329 0.265 0.166
0.152 0.648 0.698
0.723 0.479 0.450
0.723 0.021 0.950
0.823 0.222 0.643
0.177 0.722 0.857
0.849 0.578 0.191
0.152 0.852 0.198
0.255 0.371 0.504
0.818 0.027 0.630
0.745 0.871 0.996
0.182 0.973 0.370
0.818 0.473 0.130
0.182 0.527 0.870
0.745 0.629 0.496
0.255 0.129 0.004
0.000 0.000 0.500
0.500 0.500 0.000
0.500 0.000 0.500
0.000 0.500 0.000
0.630 0.742 0.187
0.577 0.188 0.806
0.630 0.758 0.687
0.370 0.258 0.813
0.636 0.702 0.788
0.577 0.312 0.306
0.423 0.812 0.194
0.059 0.753 0.195
0.941 0.253 0.305
0.301 0.122 0.644
0.267 0.776 0.532
0.636 0.798 0.288
0.848 0.410 0.261
0.152 0.590 0.739
0.059 0.747 0.695
0.364 0.298 0.212
0.848 0.090 0.761
0.370 0.242 0.313
0.267 0.724 0.032
0.733 0.224 0.468
0.423 0.688 0.694
0.941 0.247 0.805
0.152 0.910 0.239
0.301 0.378 0.144
0.699 0.878 0.356
0.364 0.202 0.712
0.733 0.276 0.968
0.699 0.622 0.856
0.435 0.918 0.878
0.944 0.576 0.381
0.056 0.076 0.119
0.056 0.424 0.619
0.435 0.582 0.378
0.565 0.418 0.622
0.565 0.082 0.122
0.944 0.924 0.881
```